(1)
Al12W: optimized geometry, PBE.

Calculated values
ΔH_f (0 K) in eV per atom: -0.081
Symmetry: Im-3
Volume in Å³ per cell: 218.5

Cell lengths 6.5719, 6.5719, 6.5719 Å; angles 109.47, 109.47, 109.47 degrees
Fractional coordinates of all 13 atoms:
Al: 0.6915 0.8779 0.1864
Al: 0.8136 0.3085 0.1221
Al: 0.5051 0.8136 0.6915
Al: 0.8136 0.6915 0.5051
Al: 0.4949 0.1864 0.3085
Al: 0.1864 0.6915 0.8779
Al: 0.8779 0.1864 0.6915
Al: 0.1221 0.8136 0.3085
Al: 0.1864 0.3085 0.4949
Al: 0.6915 0.5051 0.8136
Al: 0.3085 0.4949 0.1864
Al: 0.3085 0.1221 0.8136
W: 0.0000 0.0000 0.0000

(2)
ZrAlW4: optimized geometry, PBE.

Calculated values
ΔH_f (0 K) in eV per atom: 0.113
Symmetry: F-43m
Volume in Å³ per cell: 108.1
M_tot in Bohr magnetons per cell: 0.00

Cell lengths 5.3466, 5.3466, 5.3466 Å; angles 60.00, 60.00, 60.00 degrees
Fractional coordinates of all 6 atoms:
Zr: 0.0000 0.0000 0.0000
Al: 0.2500 0.2500 0.2500
W: 0.6245 0.6245 0.1265
W: 0.6245 0.1265 0.6245
W: 0.1265 0.6245 0.6245
W: 0.6245 0.6245 0.6245

(3)
YAl2: optimized geometry, PBE.

Calculated values
ΔH_f (0 K) in eV per atom: -0.531
Symmetry: Fd-3m
Volume in Å³ per cell: 122.3

Cell lengths 5.5718, 5.5718, 5.5718 Å; angles 60.00, 60.00, 60.00 degrees
Fractional coordinates of all 6 atoms:
Y: 0.5000 0.5000 0.5000
Y: 0.2500 0.2500 0.2500
Al: 0.8750 0.8750 0.3750
Al: 0.8750 0.3750 0.8750
Al: 0.3750 0.8750 0.8750
Al: 0.8750 0.8750 0.8750

(4)
Y5Al3: optimized geometry, PBE.

Calculated values
ΔH_f (0 K) in eV per atom: -0.296
Symmetry: Cmcm
Volume in Å³ per cell: 440.7
M_tot in Bohr magnetons per cell: 1.14

Cell lengths 8.8641, 8.8641, 6.4806 Å; angles 90.00, 90.00, 120.07 degrees
Fractional coordinates of all 16 atoms:
Y: 0.6668 0.3332 0.5000
Y: 0.3332 0.6668 0.5000
Y: 0.3332 0.6668 0.0000
Y: 0.6668 0.3332 0.0000
Y: 0.7538 0.7538 0.2500
Y: 0.2462 0.9998 0.2500
Y: 0.9998 0.2462 0.2500
Y: 0.2462 0.2462 0.7500
Y: 0.7538 0.0002 0.7500
Y: 0.0002 0.7538 0.7500
Al: 0.3966 0.3966 0.2500
Al: 0.6035 0.0000 0.2500
Al: 0.0000 0.6035 0.2500
Al: 0.6034 0.6034 0.7500
Al: 0.3965 0.0000 0.7500
Al: 0.0000 0.3965 0.7500

(5)
Y2Al: optimized geometry, PBE.

Calculated values
ΔH_f (0 K) in eV per atom: -0.315
Symmetry: Pnma
Volume in Å³ per cell: 320.7

Cell lengths 5.1150, 6.6068, 9.4911 Å; angles 90.00, 90.00, 90.00 degrees
Fractional coordinates of all 12 atoms:
Y: 0.7500 0.6865 0.4273
Y: 0.2500 0.3135 0.5727
Y: 0.7500 0.1865 0.0727
Y: 0.2500 0.8135 0.9273
Y: 0.7500 0.5272 0.7918
Y: 0.2500 0.4728 0.2082
Y: 0.7500 0.0272 0.7082
Y: 0.2500 0.9728 0.2918
Al: 0.7500 0.2092 0.3963
Al: 0.2500 0.7908 0.6037
Al: 0.7500 0.7092 0.1037
Al: 0.2500 0.2908 0.8963

(6)
Y3Al: optimized geometry, PBE.

Calculated values
ΔH_f (0 K) in eV per atom: -0.186
Symmetry: Pm-3m
Volume in Å³ per cell: 109.4

Cell lengths 4.7834, 4.7834, 4.7834 Å; angles 90.00, 90.00, 90.00 degrees
Fractional coordinates of all 4 atoms:
Y: 0.0000 0.5000 0.5000
Y: 0.5000 0.5000 0.0000
Y: 0.5000 0.0000 0.5000
Al: 0.0000 0.0000 0.0000